Cd2Ni6Te3PbO18: optimized geometry, r²SCAN.

As for the energy relative to the elements: -1.262 eV per atom. As for the theoretical density: 7.13 g cm⁻³. The total magnetization comes out at 24.0 Bohr magnetons per cell.

The structure belongs to space group P6_3/m (No. 176); the cell edges are 9.3637, 9.3637 and 8.9293 Å and the angles 90.00°, 90.00° and 120.00°. The inequivalent atoms are Cd at (0.3333, 0.6667, 0.0650), Ni at (0.0090, 0.6499, 0.0881), Te at (0.0237, 0.6640, 0.7500), Pb at (0.0000, 0.0000, 0.0000), O at (0.1012, 0.3049, 0.0920), O at (0.1076, 0.2955, 0.7500), O at (0.1233, 0.6055, 0.5893) and O at (0.1272, 0.5800, 0.2500).